A plane-wave DFT calculation with PBE+U was carried out for a relaxed structure of LiEu2Cr2O8.

Cell: 6.123 6.123 6.461 Å, 119.78 119.78 75.34°
Fractional coordinates of all 13 atoms:
Li1 0.000 0.000 0.000
Eu1 0.524 0.003 0.396
Eu2 0.997 0.476 0.604
Cr1 0.486 0.001 0.874
Cr2 0.999 0.514 0.126
O1 0.154 0.717 0.131
O2 0.175 0.317 0.280
O3 0.283 0.846 0.869
O4 0.320 0.177 0.702
O5 0.683 0.825 0.720
O6 0.685 0.161 0.208
O7 0.823 0.680 0.298
O8 0.839 0.315 0.792

Calculated values
Symmetry ... C2, No. 5
Energy relative to the lowest polymorph listed for this composition ... 6 meV/atom